Entry 1:
DFT (PBE) results for a relaxed ThB2Ir3 crystal.

Output
energy of formation from the pure elements: -701 meV per atom
raw total energy: -51.49 eV for the cell shown

The structure in CIF format:
```
data_ThB2Ir3
_cell_length_a 5.4904
_cell_length_b 5.4904
_cell_length_c 3.2477
_cell_angle_alpha 90.00
_cell_angle_beta 90.00
_cell_angle_gamma 120.00
_symmetry_space_group_name_H-M 'P 6/m m m'
_symmetry_Int_Tables_number 191
_symmetry_space_group_name_Hall '-P 6 2'
loop_
_atom_site_label
_atom_site_type_symbol
_atom_site_fract_x
_atom_site_fract_y
_atom_site_fract_z
Th1 Th 0.0000 0.0000 0.0000
B1 B 0.3333 0.6667 0.0000
Ir1 Ir 0.0000 0.5000 0.5000
```



Entry 2:
DFT (PBE) results for a relaxed UB2Ir3 crystal.

Output
energy of formation from the pure elements: -512 meV per atom
raw total energy: -54.24 eV for the cell shown

The structure in CIF format:
```
data_UB2Ir3
_cell_length_a 5.4706
_cell_length_b 5.4706
_cell_length_c 3.1542
_cell_angle_alpha 90.00
_cell_angle_beta 90.00
_cell_angle_gamma 120.00
_symmetry_space_group_name_H-M 'P 6/m m m'
_symmetry_Int_Tables_number 191
_symmetry_space_group_name_Hall '-P 6 2'
loop_
_atom_site_label
_atom_site_type_symbol
_atom_site_fract_x
_atom_site_fract_y
_atom_site_fract_z
U1 U 0.0000 0.0000 0.0000
B1 B 0.3333 0.6667 0.0000
Ir1 Ir 0.0000 0.5000 0.5000
```



Entry 3:
DFT (PBE) results for a relaxed B20Ir4W5 crystal.

Output
energy of formation from the pure elements: -102 meV per atom
total magnetization: 0.103 Bohr magnetons per cell
raw total energy: -236.70 eV for the cell shown

The structure in CIF format:
```
data_B20Ir4W5
_cell_length_a 2.9584
_cell_length_b 2.9584
_cell_length_c 37.4978
_cell_angle_alpha 90.00
_cell_angle_beta 90.00
_cell_angle_gamma 120.00
_symmetry_space_group_name_H-M 'P -6 m 2'
_symmetry_Int_Tables_number 187
_symmetry_space_group_name_Hall 'P -6 2'
loop_
_atom_site_label
_atom_site_type_symbol
_atom_site_fract_x
_atom_site_fract_y
_atom_site_fract_z
B1 B 0.0000 0.0000 0.0412
B2 B 0.0000 0.0000 0.1589
B3 B 0.0000 0.0000 0.2410
B4 B 0.0000 0.0000 0.3586
B5 B 0.0000 0.0000 0.4447
B6 B 0.6667 0.3333 0.0591
B7 B 0.6667 0.3333 0.1405
B8 B 0.6667 0.3333 0.2595
B9 B 0.6667 0.3333 0.3414
B10 B 0.6667 0.3333 0.4567
Ir1 Ir 0.0000 0.0000 0.1001
Ir2 Ir 0.0000 0.0000 0.2996
W1 W 0.6667 0.3333 0.0000
W2 W 0.6667 0.3333 0.2000
W3 W 0.6667 0.3333 0.3999
```



Entry 4:
DFT (PBE) results for a relaxed YB2Ir3 crystal.

Output
energy of formation from the pure elements: -688 meV per atom
raw total energy: -50.47 eV for the cell shown

The structure in CIF format:
```
data_YB2Ir3
_cell_length_a 5.4817
_cell_length_b 5.4817
_cell_length_c 3.1485
_cell_angle_alpha 90.00
_cell_angle_beta 90.00
_cell_angle_gamma 120.00
_symmetry_space_group_name_H-M 'P 6/m m m'
_symmetry_Int_Tables_number 191
_symmetry_space_group_name_Hall '-P 6 2'
loop_
_atom_site_label
_atom_site_type_symbol
_atom_site_fract_x
_atom_site_fract_y
_atom_site_fract_z
Y1 Y 0.0000 0.0000 0.0000
B1 B 0.3333 0.6667 0.0000
Ir1 Ir 0.0000 0.5000 0.5000
```



Entry 5:
DFT (PBE) results for a relaxed YB4Ir4 crystal.

Output
energy of formation from the pure elements: -561 meV per atom
raw total energy: -147.18 eV for the cell shown

The structure in CIF format:
```
data_YB4Ir4
_cell_length_a 7.639
_cell_length_b 7.639
_cell_length_c 3.997
_cell_angle_alpha 90.00
_cell_angle_beta 90.00
_cell_angle_gamma 90.00
_symmetry_space_group_name_H-M 'P 42/n'
_symmetry_Int_Tables_number 86
loop_
_symmetry_equiv_pos_as_xyz
'x,y,z'
'-x,-y,-z'
'-y,x+1/2,z+1/2'
'y,-x+1/2,-z+1/2'
'-x+1/2,-y+1/2,z'
'x+1/2,y+1/2,-z'
'y+1/2,-x,z+1/2'
'-y+1/2,x,-z+1/2'
loop_
_atom_site_label
_atom_site_type_symbol
_atom_site_fract_x
_atom_site_fract_y
_atom_site_fract_z
Y1 Y 0.250 0.250 0.250
B1 B 0.029 0.908 0.139
Ir1 Ir 0.090 0.640 0.137
```



Entry 6:
DFT (PBE) results for a relaxed YB2Ir2 crystal.

Output
energy of formation from the pure elements: -744 meV per atom
raw total energy: -329.76 eV for the cell shown

The structure in CIF format:
```
data_YB2Ir2
_cell_length_a 5.883
_cell_length_b 9.311
_cell_length_c 10.824
_cell_angle_alpha 90.00
_cell_angle_beta 90.00
_cell_angle_gamma 90.00
_symmetry_space_group_name_H-M 'F d d d'
_symmetry_Int_Tables_number 70
loop_
_symmetry_equiv_pos_as_xyz
'x,y,z'
'-x,-y,-z'
'-x+1/4,-y+1/4,z'
'x+1/4,y+1/4,-z'
'x,-y+1/4,-z+1/4'
'-x,y+1/4,z+1/4'
'-x+1/4,y,-z+1/4'
'x+1/4,-y,z+1/4'
'x,y+1/2,z+1/2'
'-x,-y+1/2,-z+1/2'
'-x+1/4,-y+3/4,z+1/2'
'x+1/4,y+3/4,-z+1/2'
'x,-y+3/4,-z+3/4'
'-x,y+3/4,z+3/4'
'-x+1/4,y+1/2,-z+3/4'
'x+1/4,-y+1/2,z+3/4'
'x+1/2,y,z+1/2'
'-x+1/2,-y,-z+1/2'
'-x+3/4,-y+1/4,z+1/2'
'x+3/4,y+1/4,-z+1/2'
'x+1/2,-y+1/4,-z+3/4'
'-x+1/2,y+1/4,z+3/4'
'-x+3/4,y,-z+3/4'
'x+3/4,-y,z+3/4'
'x+1/2,y+1/2,z'
'-x+1/2,-y+1/2,-z'
'-x+3/4,-y+3/4,z'
'x+3/4,y+3/4,-z'
'x+1/2,-y+3/4,-z+1/4'
'-x+1/2,y+3/4,z+1/4'
'-x+3/4,y+1/2,-z+1/4'
'x+3/4,-y+1/2,z+1/4'
loop_
_atom_site_label
_atom_site_type_symbol
_atom_site_fract_x
_atom_site_fract_y
_atom_site_fract_z
Y1 Y 0.125 0.125 0.125
B1 B 0.125 0.307 0.625
Ir1 Ir 0.125 0.125 0.497
```



Entry 7:
DFT (PBE) results for a relaxed ZrB4Ir3 crystal.

Output
energy of formation from the pure elements: -528 meV per atom
raw total energy: -132.01 eV for the cell shown

The structure in CIF format:
```
data_ZrB4Ir3
_cell_length_a 7.6430
_cell_length_b 7.6430
_cell_length_c 3.5370
_cell_angle_alpha 90.00
_cell_angle_beta 90.00
_cell_angle_gamma 120.00
_symmetry_space_group_name_H-M 'P 63/m'
_symmetry_Int_Tables_number 176
_symmetry_space_group_name_Hall '-P 6c'
loop_
_atom_site_label
_atom_site_type_symbol
_atom_site_fract_x
_atom_site_fract_y
_atom_site_fract_z
Zr1 Zr 0.3333 0.6667 0.2500
B1 B 0.0000 0.0000 0.0000
B2 B 0.0513 0.4477 0.7500
Ir1 Ir 0.0728 0.7428 0.7500
```



Entry 8:
DFT (PBE) results for a relaxed K11B62 crystal.

Output
energy of formation from the pure elements: 135 meV per atom
total magnetization: 0.024 Bohr magnetons per cell
raw total energy: -416.46 eV for the cell shown

The structure in CIF format:
```
data_K11B62
_cell_length_a 4.262
_cell_length_b 4.267
_cell_length_c 46.204
_cell_angle_alpha 90.00
_cell_angle_beta 90.05
_cell_angle_gamma 90.00
_symmetry_space_group_name_H-M 'P 1 m 1'
_symmetry_Int_Tables_number 6
_symmetry_space_group_name_Hall 'P -2y'
loop_
_atom_site_label
_atom_site_type_symbol
_atom_site_fract_x
_atom_site_fract_y
_atom_site_fract_z
K1 K 0.000 0.000 0.000
K2 K 0.000 0.000 0.090
K3 K 0.000 0.000 0.181
K4 K 0.000 0.000 0.272
K5 K 0.000 0.000 0.454
K6 K 0.000 0.000 0.545
K7 K 0.000 0.000 0.636
K8 K 0.001 0.000 0.363
K9 K 0.001 0.000 0.726
K10 K 0.001 0.000 0.910
K11 K 0.996 0.000 0.818
B1 B 0.193 0.500 0.953
B2 B 0.194 0.500 0.045
B3 B 0.195 0.500 0.681
B4 B 0.199 0.500 0.135
B5 B 0.200 0.500 0.227
B6 B 0.200 0.500 0.409
B7 B 0.200 0.500 0.590
B8 B 0.201 0.500 0.318
B9 B 0.201 0.500 0.500
B10 B 0.492 0.500 0.707
B11 B 0.493 0.500 0.928
B12 B 0.497 0.203 0.954
B13 B 0.499 0.197 0.681
B14 B 0.499 0.500 0.022
B15 B 0.500 0.194 0.045
B16 B 0.500 0.196 0.590
B17 B 0.500 0.198 0.135
B18 B 0.500 0.200 0.227
B19 B 0.500 0.200 0.318
B20 B 0.500 0.200 0.409
B21 B 0.500 0.200 0.500
B22 B 0.500 0.500 0.070
B23 B 0.500 0.500 0.199
B24 B 0.500 0.500 0.290
B25 B 0.500 0.500 0.381
B26 B 0.500 0.500 0.473
B27 B 0.500 0.500 0.658
B28 B 0.501 0.500 0.108
B29 B 0.501 0.500 0.163
B30 B 0.501 0.500 0.254
B31 B 0.501 0.500 0.345
B32 B 0.501 0.500 0.436
B33 B 0.501 0.500 0.527
B34 B 0.501 0.500 0.564
B35 B 0.512 0.500 0.800
B36 B 0.514 0.500 0.835
B37 B 0.519 0.500 0.892
B38 B 0.520 0.500 0.743
B39 B 0.533 0.184 0.771
B40 B 0.533 0.184 0.864
B41 B 0.726 0.500 0.772
B42 B 0.726 0.500 0.863
B43 B 0.800 0.500 0.318
B44 B 0.800 0.500 0.500
B45 B 0.801 0.500 0.227
B46 B 0.801 0.500 0.409
B47 B 0.801 0.500 0.590
B48 B 0.802 0.500 0.135
B49 B 0.802 0.500 0.681
B50 B 0.806 0.500 0.045
B51 B 0.806 0.500 0.952
```



Entry 9:
DFT (PBE) results for a relaxed KB6 crystal.

Output
energy of formation from the pure elements: -26 meV per atom
raw total energy: -41.37 eV for the cell shown

The structure in CIF format:
```
data_KB6
_cell_length_a 4.225
_cell_length_b 4.225
_cell_length_c 4.225
_cell_angle_alpha 90.00
_cell_angle_beta 90.00
_cell_angle_gamma 90.00
_symmetry_space_group_name_H-M 'P m -3 m'
_symmetry_Int_Tables_number 221
_symmetry_space_group_name_Hall '-P 4 2 3'
loop_
_atom_site_label
_atom_site_type_symbol
_atom_site_fract_x
_atom_site_fract_y
_atom_site_fract_z
K1 K 0.000 0.000 0.000
B1 B 0.199 0.500 0.500
```



Entry 10:
DFT (PBE) results for a relaxed K2La2B2O7 crystal.

Output
energy of formation from the pure elements: -3152 meV per atom
total magnetization: 0.001 Bohr magnetons per cell
raw total energy: -385.00 eV for the cell shown

The structure in CIF format:
```
data_K2La2B2O7
_cell_length_a 11.505
_cell_length_b 6.733
_cell_length_c 10.916
_cell_angle_alpha 90.00
_cell_angle_beta 117.12
_cell_angle_gamma 90.00
_symmetry_space_group_name_H-M 'P 1 21/c 1'
_symmetry_Int_Tables_number 14
_symmetry_space_group_name_Hall '-P 2ybc'
loop_
_atom_site_label
_atom_site_type_symbol
_atom_site_fract_x
_atom_site_fract_y
_atom_site_fract_z
K1 K 0.032 0.062 0.265
K2 K 0.118 0.745 0.055
La1 La 0.322 0.082 0.915
La2 La 0.481 0.546 0.180
B1 B 0.195 0.247 0.088
B2 B 0.304 0.654 0.854
O1 O 0.122 0.150 0.964
O2 O 0.142 0.153 0.662
O3 O 0.199 0.746 0.859
O4 O 0.333 0.243 0.139
O5 O 0.351 0.033 0.412
O6 O 0.366 0.748 0.287
O7 O 0.473 0.620 0.598
```



Entry 11:
DFT (PBE) results for a relaxed K9Li3Nd3B7O21 crystal.

Output
energy of formation from the pure elements: -2771 meV per atom
total magnetization: 0.002 Bohr magnetons per cell
raw total energy: -570.85 eV for the cell shown

The structure in CIF format:
```
data_K9Li3Nd3B7O21
_cell_length_a 11.584
_cell_length_b 10.209
_cell_length_c 12.494
_cell_angle_alpha 90.00
_cell_angle_beta 121.90
_cell_angle_gamma 90.00
_symmetry_space_group_name_H-M 'P 1 2/c 1'
_symmetry_Int_Tables_number 13
_symmetry_space_group_name_Hall '-P 2yc'
loop_
_atom_site_label
_atom_site_type_symbol
_atom_site_fract_x
_atom_site_fract_y
_atom_site_fract_z
K1 K 0.000 0.079 0.250
K2 K 0.091 0.390 0.447
K3 K 0.170 0.072 0.588
K4 K 0.335 0.097 0.945
K5 K 0.390 0.461 0.056
Li1 Li 0.412 0.290 0.784
Li2 Li 0.500 0.068 0.750
Nd1 Nd 0.000 0.314 0.750
Nd2 Nd 0.286 0.297 0.255
B1 B 0.097 0.218 0.998
B2 B 0.234 0.422 0.754
B3 B 0.366 0.228 0.505
B4 B 0.500 0.152 0.250
O1 O 0.069 0.134 0.899
O2 O 0.085 0.181 0.098
O3 O 0.138 0.346 0.994
O4 O 0.144 0.492 0.261
O5 O 0.217 0.287 0.755
O6 O 0.239 0.192 0.403
O7 O 0.342 0.473 0.748
O8 O 0.396 0.086 0.251
O9 O 0.409 0.197 0.627
O10 O 0.452 0.302 0.480
O11 O 0.500 0.288 0.250
```